Entry from Materials Project: NaPH6O6 after structural relaxation (PBE).

Cell: 6.6963 7.2513 11.4052 Å, 90.00 90.00 90.00°
Element x y z (fractional)
Na  0.7200  0.6130  0.9210
Na  0.2200  0.8870  0.0790
Na  0.2800  0.1130  0.5790
Na  0.7800  0.3870  0.4210
P  0.5448  0.2813  0.1507
P  0.0448  0.2187  0.8493
P  0.4552  0.7813  0.3493
P  0.9552  0.7187  0.6507
H  0.5163  0.5946  0.1547
H  0.0163  0.9054  0.8453
H  0.4837  0.0946  0.3453
H  0.9837  0.4054  0.6547
H  0.2796  0.2667  0.0312
H  0.7796  0.2333  0.9688
H  0.7204  0.7667  0.4688
H  0.2204  0.7333  0.5312
H  0.8510  0.0174  0.1809
H  0.3510  0.4826  0.8191
H  0.1490  0.5174  0.3191
H  0.6490  0.9826  0.6809
H  0.8878  0.8433  0.2580
H  0.3878  0.6567  0.7420
H  0.1122  0.3433  0.2420
H  0.6122  0.1567  0.7580
H  0.5966  0.9796  0.0036
H  0.0966  0.5204  0.9964
H  0.4034  0.4796  0.4964
H  0.9034  0.0204  0.5036
H  0.5111  0.9365  0.8787
H  0.0111  0.5635  0.1213
H  0.4889  0.4365  0.6213
H  0.9889  0.0635  0.3787
O  0.5547  0.2653  0.2830
O  0.0547  0.2347  0.7170
O  0.4453  0.7653  0.2170
O  0.9453  0.7347  0.7830
O  0.6997  0.1644  0.0849
O  0.1997  0.3356  0.9151
O  0.3003  0.6644  0.4151
O  0.8003  0.8356  0.5849
O  0.5731  0.4861  0.1050
O  0.0731  0.0139  0.8950
O  0.4269  0.9861  0.3950
O  0.9269  0.5139  0.6050
O  0.3233  0.2202  0.1135
O  0.8233  0.2798  0.8865
O  0.6767  0.7202  0.3865
O  0.1767  0.7798  0.6135
O  0.9568  0.9502  0.2247
O  0.4568  0.5498  0.7753
O  0.0432  0.4502  0.2753
O  0.5432  0.0498  0.7247
O  0.5261  0.8826  0.9578
O  0.0261  0.6174  0.0422
O  0.4739  0.3826  0.5422
O  0.9739  0.1174  0.4578

## Properties
SG = P2_12_12_1 (19)
ΔE_f = -2388 kJ/mol of formula units
raw total energy = -309.6 eV for the cell shown